Record 1
Rb4Mo5H4Se2O23, relaxed, DFT PBE with a Hubbard U; formation enthalpy at 0 K = -6759 kJ/mol of formula units; symmetry = C2
1.0
10.107 -5.237 0.000
10.107 5.237 0.000
-3.615 0.000 11.873
Rb Mo H Se O
8 10 8 4 46
direct
0.012 0.012 0.247
0.024 0.632 0.229
0.052 0.574 0.593
0.368 0.976 0.771
0.426 0.948 0.407
0.606 0.036 0.093
0.964 0.394 0.907
0.988 0.988 0.753
0.059 0.747 0.964
0.253 0.941 0.036
0.322 0.389 0.901
0.366 0.634 0.500
0.415 0.301 0.382
0.611 0.678 0.099
0.658 0.342 0.000
0.699 0.585 0.618
0.774 0.031 0.445
0.969 0.226 0.555
0.126 0.268 0.157
0.390 0.194 0.668
0.541 0.106 0.627
0.605 0.013 0.788
0.732 0.874 0.843
0.806 0.610 0.332
0.894 0.459 0.373
0.987 0.395 0.212
0.373 0.612 0.168
0.388 0.627 0.832
0.624 0.337 0.661
0.663 0.376 0.339
0.036 0.362 0.145
0.053 0.179 0.691
0.106 0.894 0.000
0.119 0.150 0.486
0.134 0.541 0.954
0.175 0.082 0.957
0.190 0.698 0.143
0.221 0.034 0.173
0.221 0.696 0.571
0.264 0.357 0.757
0.274 0.606 0.886
0.276 0.328 0.440
0.302 0.810 0.857
0.304 0.779 0.429
0.343 0.504 0.371
0.351 0.247 0.956
0.376 0.254 0.238
0.394 0.726 0.114
0.434 0.456 0.068
0.459 0.866 0.046
0.472 0.094 0.648
0.477 0.408 0.555
0.496 0.657 0.629
0.519 0.319 0.881
0.544 0.566 0.932
0.568 0.103 0.421
0.592 0.523 0.445
0.634 0.254 0.373
0.638 0.964 0.855
0.643 0.736 0.243
0.672 0.724 0.560
0.681 0.481 0.119
0.704 0.155 0.624
0.727 0.205 0.082
0.746 0.366 0.627
0.746 0.624 0.762
0.753 0.649 0.044
0.795 0.273 0.918
0.821 0.947 0.309
0.845 0.296 0.376
0.850 0.881 0.514
0.897 0.432 0.579
0.906 0.528 0.352
0.915 0.085 0.500
0.918 0.825 0.043
0.966 0.779 0.827

=====

Record 2
Mn2SnO4, relaxed, DFT PBE with a Hubbard U; formation enthalpy at 0 K = -1398 kJ/mol of formula units; symmetry = Imma
1.0
-3.156 3.203 4.534
3.156 -3.203 4.534
3.156 3.203 -4.534
Mn Sn O
4 2 8
direct
0.000 0.000 0.500
0.000 0.500 0.000
0.391 0.141 0.250
0.609 0.859 0.750
0.000 0.500 0.500
0.500 0.500 0.000
0.213 0.728 0.485
0.249 0.273 0.524
0.249 0.725 0.976
0.258 0.272 0.985
0.742 0.728 0.015
0.751 0.275 0.024
0.751 0.727 0.476
0.787 0.272 0.515

=====

Record 3
Li2P5WO15, relaxed, DFT PBE with a Hubbard U; formation enthalpy at 0 K = -5572 kJ/mol of formula units; symmetry = Cc
1.0
3.809 -5.723 0.000
3.809 5.723 0.000
-2.995 0.000 13.599
Li P W O
4 10 2 30
direct
0.130 0.870 0.500
0.436 0.917 0.861
0.870 0.130 0.000
0.917 0.436 0.361
0.018 0.623 0.038
0.106 0.897 0.238
0.247 0.380 0.508
0.282 0.490 0.730
0.380 0.247 0.008
0.490 0.282 0.230
0.494 0.744 0.036
0.623 0.018 0.538
0.744 0.494 0.536
0.897 0.106 0.738
0.597 0.851 0.290
0.851 0.597 0.790
0.007 0.800 0.124
0.134 0.146 0.500
0.146 0.134 0.000
0.148 0.244 0.738
0.187 0.492 0.432
0.196 0.635 0.787
0.234 0.502 0.617
0.244 0.148 0.238
0.256 0.800 0.278
0.258 0.743 0.016
0.422 0.980 0.576
0.452 0.501 0.022
0.492 0.187 0.932
0.501 0.452 0.522
0.502 0.234 0.117
0.512 0.540 0.766
0.540 0.512 0.266
0.599 0.850 0.140
0.611 0.854 0.961
0.622 0.877 0.447
0.635 0.196 0.287
0.743 0.258 0.516
0.800 0.007 0.624
0.800 0.256 0.778
0.850 0.599 0.640
0.854 0.611 0.461
0.877 0.622 0.947
0.885 0.930 0.793
0.930 0.885 0.293
0.980 0.422 0.076

=====

Record 4
K3MnCrO8, relaxed, DFT PBE with a Hubbard U; formation enthalpy at 0 K = -2231 kJ/mol of formula units; symmetry = R3m
1.0
2.942 1.698 7.186
-2.942 1.698 7.186
0.000 -3.397 7.186
K Mn Cr O
3 1 1 8
direct
0.000 0.000 0.000
0.195 0.195 0.195
0.791 0.791 0.791
0.590 0.590 0.590
0.404 0.404 0.404
0.265 0.716 0.716
0.277 0.277 0.739
0.277 0.739 0.277
0.327 0.327 0.327
0.665 0.665 0.665
0.716 0.265 0.716
0.716 0.716 0.265
0.739 0.277 0.277

=====

Record 5
MgFe2H2O4, relaxed, DFT PBE with a Hubbard U; formation enthalpy at 0 K = -1291 kJ/mol of formula units; symmetry = Amm2
1.0
3.905 0.000 0.000
0.000 1.732 6.862
0.000 -1.732 6.862
Mg Fe H O
1 2 2 4
direct
0.000 0.000 0.000
0.000 0.253 0.253
0.500 0.619 0.619
0.291 0.883 0.883
0.709 0.883 0.883
0.000 0.567 0.567
0.000 0.837 0.837
0.500 0.198 0.198
0.500 0.943 0.943

=====

Record 6
Fe10O9F11, relaxed, DFT PBE with a Hubbard U; formation enthalpy at 0 K = -5973 kJ/mol of formula units; symmetry = P1
1.0
4.752 0.000 0.000
0.287 4.751 0.000
0.003 0.085 15.447
Fe O F
10 9 11
direct
0.000 0.000 0.000
0.007 0.987 0.192
0.030 0.029 0.600
0.042 0.003 0.397
0.451 0.501 0.496
0.475 0.512 0.306
0.496 0.505 0.898
0.504 0.495 0.103
0.521 0.461 0.691
0.987 0.006 0.807
0.181 0.821 0.293
0.185 0.819 0.504
0.198 0.800 0.898
0.203 0.794 0.095
0.291 0.304 0.404
0.311 0.308 0.601
0.795 0.202 0.901
0.799 0.198 0.097
0.823 0.179 0.702
0.213 0.790 0.705
0.297 0.298 0.194
0.308 0.307 0.998
0.312 0.302 0.798
0.692 0.691 0.998
0.694 0.686 0.797
0.697 0.697 0.196
0.698 0.692 0.602
0.699 0.710 0.407
0.796 0.203 0.296
0.796 0.210 0.500

=====

Record 7
MgV4O8, relaxed, DFT PBE with a Hubbard U; formation enthalpy at 0 K = -3003 kJ/mol of formula units; symmetry = P1
1.0
3.018 0.000 0.000
-1.504 6.344 0.000
-1.499 -0.365 7.465
Mg V O
1 4 8
direct
0.000 0.000 0.000
0.136 0.802 0.472
0.311 0.443 0.179
0.688 0.555 0.827
0.864 0.197 0.534
0.054 0.380 0.734
0.340 0.038 0.645
0.348 0.740 0.959
0.353 0.308 0.402
0.646 0.691 0.604
0.651 0.259 0.046
0.660 0.960 0.362
0.945 0.619 0.272

=====

Record 8
Li2Mn3O6, relaxed, DFT PBE with a Hubbard U; formation enthalpy at 0 K = -2161 kJ/mol of formula units; symmetry = Cc
1.0
4.570 -2.511 0.000
4.570 2.511 0.000
-3.992 0.000 10.070
Li Mn O
4 6 12
direct
0.071 0.929 0.500
0.583 0.756 0.998
0.756 0.583 0.498
0.929 0.071 0.000
0.015 0.863 0.234
0.198 0.351 0.751
0.351 0.198 0.251
0.527 0.680 0.737
0.680 0.527 0.237
0.863 0.015 0.734
0.013 0.251 0.350
0.145 0.671 0.628
0.251 0.013 0.850
0.332 0.830 0.132
0.391 0.580 0.338
0.475 0.963 0.641
0.580 0.391 0.838
0.671 0.145 0.128
0.714 0.890 0.349
0.830 0.332 0.632
0.890 0.714 0.849
0.963 0.475 0.141